Density functional theory data (PBE+U) for a relaxed structure of LiCrSi4O10.

## Properties
Space-group type = No. 1
M_tot = 3.0 μB/f.u.
DFT total energy = -242.577 eV per cell

Cell and atoms, written as POSCAR:
```
LiCrSi4O10
1.0
7.091 0.000 0.000
-3.333 6.629 0.000
-2.248 -2.830 8.924
Li Cr Si O
2 2 8 20
Cartesian
0.000 0.000 0.000
-1.477 2.597 4.235
-3.538 4.532 5.504
1.596 2.518 4.228
-3.825 1.864 7.104
-1.862 -0.355 7.622
-2.188 4.964 2.482
-0.080 3.083 1.627
-1.839 4.001 8.056
0.230 2.015 7.171
3.262 0.742 2.112
1.934 5.177 2.590
-1.525 -1.769 6.949
-1.576 3.753 1.551
0.086 2.107 0.301
-2.235 4.474 4.016
-2.896 2.733 8.119
0.069 2.284 3.021
2.013 -0.313 2.213
-0.624 0.696 7.551
1.242 -1.801 6.703
0.187 2.237 5.576
1.035 4.284 1.569
3.587 1.033 0.525
-0.310 3.323 8.048
2.937 2.092 2.905
4.603 0.029 2.775
1.763 1.857 7.752
2.040 4.447 4.068
3.202 2.577 5.605
3.413 5.398 1.898
3.895 0.367 6.976
```

***

Density functional theory data (PBE+U) for a relaxed structure of Sr5Co3F19.

## Properties
Space-group type = No. 87
M_tot = 0.0 μB/f.u.
DFT total energy = -280.316 eV per cell

Cell and atoms, written as POSCAR:
```
Sr5Co3F19
1.0
-7.245 7.245 3.713
7.245 -7.245 3.713
7.245 7.245 -3.713
Sr Co F
10 6 38
Cartesian
3.204 0.716 0.000
6.530 -4.042 3.713
7.245 0.000 1.857
6.153 3.644 0.000
3.602 -1.093 3.713
3.644 8.338 0.000
1.093 3.602 3.713
0.000 7.245 1.857
0.716 11.287 0.000
4.042 6.530 3.713
9.569 2.559 0.000
0.000 0.000 1.879
2.559 4.922 0.000
4.686 2.323 3.713
0.000 0.000 5.548
-2.323 4.686 3.713
0.000 0.000 0.000
5.548 1.142 0.000
8.682 3.704 -1.299
4.345 -1.233 1.336
7.923 1.571 0.000
6.517 5.466 -1.946
8.478 -2.901 2.377
1.779 -0.729 1.767
3.704 5.809 -1.299
3.538 3.330 0.000
3.915 -3.707 3.713
10.146 1.233 1.336
5.466 7.974 -1.946
0.729 1.779 1.767
6.104 -1.697 3.713
3.541 1.437 2.415
8.682 3.704 1.299
1.571 6.568 0.000
1.233 4.345 1.336
0.000 0.000 3.713
6.013 2.901 2.377
5.674 0.678 3.713
-1.437 3.541 2.415
3.704 5.809 1.299
1.142 8.943 0.000
6.517 5.466 1.946
1.779 -0.729 5.659
-2.901 6.013 2.377
3.330 10.953 0.000
3.707 3.915 3.713
3.541 1.437 5.012
5.466 7.974 1.946
-1.233 10.146 1.336
0.729 1.779 5.659
-0.678 5.674 3.713
2.901 8.478 2.377
-1.437 3.541 5.012
1.697 6.104 3.713
```